TlBiP2S7 | Materials Project | PBE | relaxed; E_tot = -0.166 hartree per atom; total moment = 0.0 μB/f.u.; calculated formation energy = -0.643 eV per atom
1.0
9.7693 0.0000 0.0000
0.0000 12.6259 0.0000
-0.0720 0.0000 9.1961
Tl Bi P S
4 4 8 28
Direct
0.1172 0.1879 0.1201
0.1172 0.3121 0.6201
0.8828 0.6879 0.3799
0.8828 0.8121 0.8799
0.3445 0.6369 0.6225
0.3445 0.8631 0.1225
0.6555 0.1369 0.8775
0.6555 0.3631 0.3775
0.2246 0.6059 0.9813
0.2246 0.8941 0.4813
0.3205 0.0363 0.8012
0.3205 0.4637 0.3012
0.6795 0.5363 0.6988
0.6795 0.9637 0.1988
0.7754 0.1059 0.5187
0.7754 0.3941 0.0187
0.1214 0.7085 0.1105
0.1214 0.7915 0.6105
0.1294 0.5554 0.7951
0.1294 0.9446 0.2951
0.1701 0.5286 0.4276
0.1701 0.9714 0.9276
0.2485 0.0469 0.5809
0.2485 0.4531 0.0809
0.3485 0.1914 0.8479
0.3485 0.3086 0.3479
0.4065 0.6742 0.9286
0.4065 0.8258 0.4286
0.4941 0.5521 0.3162
0.4941 0.9479 0.8162
0.5059 0.0521 0.1838
0.5059 0.4479 0.6838
0.5935 0.1742 0.5714
0.5935 0.3258 0.0714
0.6515 0.6914 0.6521
0.6515 0.8086 0.1521
0.7515 0.5469 0.9191
0.7515 0.9531 0.4191
0.8299 0.0286 0.0724
0.8299 0.4714 0.5724
0.8706 0.0554 0.7049
0.8706 0.4446 0.2049
0.8786 0.2085 0.3895
0.8786 0.2915 0.8895